[1]
Mg3Si4: relaxed, PBE.

abc: 5.9861 6.8758 7.6350
angles: 109.20 110.89 97.45
Last column: nearest neighbours and their distance in Å.
Space group P1 (No. 1)
Unique sites:
Mg 0.0000 0.0000 0.0000 [1 per cell]  5 Si 2.68-2.93
Mg 0.0214 0.3982 0.3394 [1 per cell]  4 Si 2.73-2.90, 1 Mg 3.04
Mg 0.1127 0.1753 0.7142 [1 per cell]  5 Si 2.66-2.95
Mg 0.1497 0.6064 0.0514 [1 per cell]  4 Si 2.79-3.01, 1 Mg 3.06
Mg 0.5210 0.5741 0.7780 [1 per cell]  5 Si 2.69-2.99
Mg 0.6549 0.7572 0.4816 [1 per cell]  6 Si 2.67-2.96
Si 0.1451 0.7652 0.6995 [1 per cell]  3 Si 2.51-2.54, 2 Mg 2.73-2.79
Si 0.2547 0.8986 0.4622 [1 per cell]  3 Si 2.52-2.66, 2 Mg 2.67-2.69
Si 0.4475 0.2900 0.3052 [1 per cell]  3 Si 2.46-2.48
Si 0.5058 0.9980 0.0442 [1 per cell]  4 Si 2.48-2.54
Si 0.5530 0.4345 0.0787 [1 per cell]  3 Si 2.47-2.49, 1 Mg 2.72
Si 0.6296 0.1512 0.8242 [1 per cell]  3 Si 2.48-2.66, 1 Mg 2.68
Si 0.8007 0.8114 0.1999 [1 per cell]  3 Si 2.49-2.58, 2 Mg 2.70-2.76
Si 0.8345 0.4306 0.6222 [1 per cell]  2 Si 2.46-2.51, 3 Mg 2.66-2.73

## Properties
V   266.2 Å³/cell
Energy of formation   4.82 kcal/mol of atoms

=====

[2]
Mg4Si3: relaxed, PBE.

abc: 5.7901 7.0589 7.4976
angles: 116.50 99.25 100.49
Last column: nearest neighbours and their distance in Å.
Space group P-1 (No. 2)
Unique sites:
Mg 0.0505 0.2926 0.3517 [2 per cell]  5 Si 2.77-3.10, 3 Mg 2.98-3.02
Mg 0.2469 0.9970 0.4846 [2 per cell]  5 Si 2.79-2.91, 6 Mg 2.89-3.07
Mg 0.3497 0.5695 0.2183 [2 per cell]  6 Si 2.76-2.99, 4 Mg 2.90-3.07
Mg 0.3873 0.1370 0.9421 [2 per cell]  5 Si 2.77-2.95, 3 Mg 2.87-3.03
Si 0.0925 0.7903 0.0535 [2 per cell]  2 Si 2.52-2.76, 2 Mg 2.77-2.79
Si 0.1563 0.3919 0.7883 [2 per cell]  2 Si 2.52-2.76, 1 Mg 2.82
Si 0.4513 0.7369 0.6413 [2 per cell]  7 Mg 2.76-2.92

## Properties
V   259.2 Å³/cell
Energy of formation   2.57 kcal/mol of atoms